DFT (GGA-PBE) results for an optimized crystal structure of Er3Ge13Os4.

```
Er3Ge13Os4
1.0
9.061 0.000 0.000
0.000 9.061 0.000
0.000 0.000 9.061
Ge Os Er
26 8 6
Direct
0.199 0.645 0.500
0.855 0.699 0.000
0.145 0.699 0.000
0.355 0.500 0.801
0.301 0.000 0.855
0.699 0.000 0.855
0.000 0.000 0.000
0.145 0.301 0.000
0.500 0.199 0.355
0.500 0.199 0.645
0.500 0.801 0.645
0.000 0.855 0.699
0.000 0.855 0.301
0.000 0.145 0.699
0.801 0.645 0.500
0.645 0.500 0.199
0.355 0.500 0.199
0.500 0.801 0.355
0.199 0.355 0.500
0.645 0.500 0.801
0.301 0.000 0.145
0.500 0.500 0.500
0.855 0.301 0.000
0.000 0.145 0.301
0.699 0.000 0.145
0.801 0.355 0.500
0.750 0.750 0.750
0.250 0.750 0.750
0.250 0.250 0.750
0.750 0.750 0.250
0.750 0.250 0.250
0.250 0.750 0.250
0.250 0.250 0.250
0.750 0.250 0.750
0.750 0.000 0.500
0.500 0.750 0.000
0.500 0.250 0.000
0.250 0.000 0.500
0.000 0.500 0.750
0.000 0.500 0.250
```

Calculated values
Its formation energy is -6.6 eV/f.u.



DFT (GGA-PBE) results for an optimized crystal structure of HfMo2.

```
HfMo2
1.0
2.689 -4.657 0.000
2.689 4.657 0.000
0.000 0.000 17.456
Mo Hf
16 8
Direct
0.000 0.500 0.000
0.000 0.500 0.500
0.500 0.500 0.000
0.500 0.500 0.500
0.163 0.837 0.250
0.673 0.837 0.250
0.500 0.000 0.500
0.500 0.000 0.000
0.327 0.163 0.750
0.837 0.673 0.750
0.667 0.333 0.624
0.333 0.667 0.376
0.163 0.327 0.250
0.667 0.333 0.876
0.333 0.667 0.124
0.837 0.163 0.750
0.000 0.000 0.906
0.333 0.667 0.656
0.000 0.000 0.406
0.667 0.333 0.344
0.667 0.333 0.156
0.333 0.667 0.844
0.000 0.000 0.594
0.000 0.000 0.094
```

Calculated values
The calculation puts the excess energy over the best structure of this formula in the dataset at 0.0069 eV/atom. Its formation energy is -0.5 eV/f.u.



DFT (GGA-PBE) results for an optimized crystal structure of CuW3Br7.

```
CuW3Br7
1.0
10.141 0.000 0.000
0.000 15.417 0.000
0.000 0.000 16.291
Br Cu W
56 8 24
Direct
0.949 0.508 0.196
0.241 0.426 0.596
0.445 0.801 0.056
0.747 0.850 0.182
0.997 0.236 0.667
0.497 0.764 0.833
0.555 0.699 0.556
0.445 0.301 0.444
0.949 0.008 0.304
0.551 0.508 0.696
0.945 0.199 0.444
0.759 0.574 0.404
0.378 0.907 0.623
0.551 0.008 0.804
0.747 0.350 0.318
0.241 0.926 0.904
0.745 0.382 0.046
0.122 0.907 0.123
0.247 0.650 0.182
0.945 0.699 0.056
0.255 0.618 0.954
0.003 0.764 0.333
0.051 0.992 0.696
0.622 0.093 0.377
0.497 0.264 0.667
0.753 0.850 0.682
0.003 0.264 0.167
0.759 0.074 0.096
0.378 0.407 0.877
0.449 0.992 0.196
0.753 0.350 0.818
0.755 0.882 0.954
0.878 0.093 0.877
0.997 0.736 0.833
0.253 0.650 0.682
0.878 0.593 0.623
0.741 0.074 0.596
0.055 0.301 0.944
0.741 0.574 0.904
0.503 0.236 0.167
0.253 0.150 0.818
0.247 0.150 0.318
0.259 0.426 0.096
0.745 0.882 0.454
0.622 0.593 0.123
0.051 0.492 0.804
0.255 0.118 0.546
0.449 0.492 0.304
0.259 0.926 0.404
0.122 0.407 0.377
0.503 0.736 0.333
0.055 0.801 0.556
0.245 0.618 0.454
0.245 0.118 0.046
0.555 0.199 0.944
0.755 0.382 0.546
0.371 0.783 0.709
0.629 0.717 0.209
0.129 0.283 0.291
0.371 0.283 0.791
0.629 0.217 0.291
0.871 0.717 0.709
0.871 0.217 0.791
0.129 0.783 0.209
0.602 0.437 0.425
0.498 0.404 0.571
0.998 0.096 0.571
0.845 0.041 0.449
0.502 0.596 0.429
0.898 0.437 0.925
0.102 0.563 0.075
0.345 0.459 0.449
0.398 0.063 0.925
0.655 0.041 0.949
0.102 0.063 0.425
0.345 0.959 0.051
0.845 0.541 0.051
0.998 0.596 0.929
0.398 0.563 0.575
0.655 0.541 0.551
0.898 0.937 0.575
0.155 0.459 0.949
0.002 0.904 0.429
0.155 0.959 0.551
0.602 0.937 0.075
0.498 0.904 0.929
0.502 0.096 0.071
0.002 0.404 0.071
```

Calculated values
The calculation puts the excess energy over the best structure of this formula in the dataset at 0.0044 eV/atom. Its formation energy is -8.7 eV/f.u.



DFT (GGA-PBE) results for an optimized crystal structure of CeSb2Au.

```
CeSb2Au
1.0
-4.312 1.064 0.538
-1.068 -2.552 -3.516
-1.190 -7.904 6.098
Au Sb Ce
2 4 2
Direct
0.500 0.500 0.500
0.000 0.000 0.500
0.000 0.500 0.317
0.000 0.000 0.000
0.500 0.500 0.000
0.500 0.000 0.683
0.000 0.500 0.755
0.500 0.000 0.245
```

Calculated values
Its formation energy is -2.8 eV/f.u.